Record 1
Material: Mg4Cr5Te3O18
Method: DFT, PBE with a Hubbard U
State: optimized geometry

a b c (Å): 8.7428 8.7428 10.4812
angles (deg): 85.17 85.17 63.34
Last column: nearest neighbours and their distance in Å.
Fractional positions:
Mg: 0.9391 0.6534 0.4320  4 O 1.94-2.00
O: 0.2179 0.2851 0.1385  1 Mg 1.94, 2 Cr 2.03-2.07
Mg: 0.3227 0.6325 0.5292  4 O 1.96-2.11
O: 0.7463 0.0907 0.4350  2 Cr 2.05-2.16, 1 Te 2.14, 1 Mg 2.27
Te: 0.0000 0.0000 0.0000  6 O 2.09-2.14
Mg: 0.3466 0.0609 0.0680  4 O 1.94-2.00
Cr: 0.1474 0.5212 0.0418  6 O 2.02-2.07
O: 0.1012 0.7574 0.4232  2 Mg 1.99-2.11, 1 Cr 2.01, 1 Te 2.10
O: 0.5887 0.9440 0.1202  2 Mg 2.00, 1 Cr 2.03
O: 0.5672 0.2489 0.1977  1 Mg 1.96, 1 Cr 1.99, 1 Te 1.99
Te: 0.3387 0.3543 0.2910  3 O 1.99-2.14
O: 0.0796 0.0703 0.3206  2 Cr 2.05-2.12, 1 Te 2.09
Te: 0.3543 0.3387 0.7910  3 O 1.99-2.14
Cr: 0.5212 0.1474 0.5418  6 O 2.02-2.07
Cr: 0.9917 0.3198 0.2313  6 O 1.99-2.16
O: 0.2445 0.5935 0.1814  2 Cr 2.03-2.05, 1 Te 2.14
O: 0.9440 0.5887 0.6202  2 Mg 2.00, 1 Cr 2.03
Te: 0.6457 0.6613 0.2090  3 O 1.99-2.14
O: 0.9093 0.2537 0.0650  2 Cr 2.05-2.16, 1 Te 2.14, 1 Mg 2.27
O: 0.9204 0.9297 0.6794  2 Cr 2.05-2.12, 1 Te 2.09
Cr: 0.0083 0.6802 0.7687  6 O 1.99-2.16
Cr: 0.4788 0.8526 0.4582  6 O 2.02-2.07
O: 0.2489 0.5672 0.6977  1 Mg 1.96, 1 Cr 1.99, 1 Te 1.99
O: 0.4382 0.3908 0.4574  2 Mg 2.02-2.07, 1 Cr 2.06, 1 Te 2.12
O: 0.8988 0.2426 0.5768  2 Mg 1.99-2.11, 1 Cr 2.01, 1 Te 2.10
O: 0.2851 0.2179 0.6385  1 Mg 1.94, 2 Cr 2.03-2.07
O: 0.0703 0.0796 0.8206  2 Cr 2.05-2.12, 1 Te 2.09
O: 0.4573 0.0812 0.3816  3 Cr 2.02-2.06
O: 0.5618 0.6092 0.5426  2 Mg 2.02-2.07, 1 Cr 2.06, 1 Te 2.12
Cr: 0.3198 0.9917 0.7313  6 O 1.99-2.16
Mg: 0.6325 0.3227 0.0292  4 O 1.96-2.11
O: 0.4328 0.7511 0.8023  1 Mg 1.96, 1 Cr 1.99, 1 Te 1.99
O: 0.7149 0.7821 0.3615  1 Mg 1.94, 2 Cr 2.03-2.07
Mg: 0.3675 0.6773 0.9708  4 O 1.96-2.11
O: 0.7821 0.7149 0.8615  1 Mg 1.94, 2 Cr 2.03-2.07
Mg: 0.0609 0.3466 0.5680  4 O 1.94-2.00
O: 0.7555 0.4065 0.8186  2 Cr 2.03-2.05, 1 Te 2.14
O: 0.5935 0.2445 0.6814  2 Cr 2.03-2.05, 1 Te 2.14
O: 0.3908 0.4382 0.9574  2 Mg 2.02-2.07, 1 Cr 2.06, 1 Te 2.12
O: 0.4113 0.0560 0.8798  2 Mg 2.00, 1 Cr 2.03
O: 0.2426 0.8988 0.0768  2 Mg 1.99-2.11, 1 Cr 2.01, 1 Te 2.10
Cr: 0.1686 0.8314 0.2500  6 O 2.01-2.05
O: 0.4065 0.7555 0.3186  2 Cr 2.03-2.05, 1 Te 2.14
O: 0.6092 0.5618 0.0426  2 Mg 2.02-2.07, 1 Cr 2.06, 1 Te 2.12
Mg: 0.6534 0.9391 0.9320  4 O 1.94-2.00
O: 0.9188 0.5427 0.1184  3 Cr 2.02-2.06
O: 0.2537 0.9093 0.5650  2 Cr 2.05-2.16, 1 Te 2.14, 1 Mg 2.27
O: 0.7511 0.4328 0.3023  1 Mg 1.96, 1 Cr 1.99, 1 Te 1.99
Mg: 0.6773 0.3675 0.4708  4 O 1.96-2.11
O: 0.9297 0.9204 0.1794  2 Cr 2.05-2.12, 1 Te 2.09
O: 0.5427 0.9188 0.6184  3 Cr 2.02-2.06
Te: 0.6613 0.6457 0.7090  3 O 1.99-2.14
O: 0.0812 0.4573 0.8816  3 Cr 2.02-2.06
O: 0.0560 0.4113 0.3798  2 Mg 2.00, 1 Cr 2.03
Te: 0.0000 0.0000 0.5000  6 O 2.09-2.14
O: 0.0907 0.7463 0.9350  2 Cr 2.05-2.16, 1 Te 2.14, 1 Mg 2.27
Cr: 0.6802 0.0083 0.2687  6 O 1.99-2.16
Cr: 0.8314 0.1686 0.7500  6 O 2.01-2.05
O: 0.7574 0.1012 0.9232  2 Mg 1.99-2.11, 1 Cr 2.01, 1 Te 2.10
Cr: 0.8526 0.4788 0.9582  6 O 2.02-2.07

As for the corrected total energy (MP2020 scheme): -437.79 eV/cell. The energy relative to the elements is -2.191 eV per atom.

***

Record 2
Material: MgTiCrO4
Method: DFT, PBE with a Hubbard U
State: optimized geometry

a b c (Å): 5.1212 5.1212 5.1212
angles (deg): 131.61 131.16 71.20
Last column: nearest neighbours and their distance in Å.
Fractional positions:
O: 0.9935 0.4935 0.5000  1 Ti 1.95, 2 Cr 2.10
O: 0.2494 0.2494 0.0000  1 Cr 1.99, 2 Mg 2.10, 2 Ti 2.12
Cr: 0.0101 0.0101 0.0000  6 O 1.99-2.12
O: 0.7707 0.7707 0.0000  1 Cr 1.99, 2 Ti 2.10, 2 Mg 2.12
O: 0.5257 0.0257 0.5000  1 Ti 1.94, 2 Cr 2.12
Ti: 0.7590 0.2590 0.5000  6 O 1.94-2.12
Mg: 0.2629 0.7629 0.5000  6 O 2.10-2.24

As for the corrected total energy (MP2020 scheme): -58.17 eV/cell. The energy relative to the elements is -2.747 eV per atom.

***

Record 3
Material: Mg6TiCrO8
Method: DFT, PBE with a Hubbard U
State: optimized geometry

a b c (Å): 8.9000 4.2539 4.2539
angles (deg): 90.00 90.00 90.00
Last column: nearest neighbours and their distance in Å.
Fractional positions:
O: 0.5000 0.0000 0.5000  4 Mg 2.13-2.21, 2 Cr 2.13
Mg: 0.2521 0.5000 0.0000  6 O 2.13-2.24
Mg: 0.7479 0.0000 0.5000  6 O 2.13-2.24
O: 0.2356 0.0000 0.0000  1 Ti 2.10, 4 Mg 2.13
Cr: 0.5000 0.0000 0.0000  6 O 2.13-2.35
O: 0.5000 0.5000 0.0000  2 Cr 2.13, 4 Mg 2.13-2.21
O: 0.7508 0.5000 0.5000  6 Mg 2.13-2.23
Mg: 0.7479 0.5000 0.0000  6 O 2.13-2.24
Mg: 0.5000 0.5000 0.5000  6 O 2.13-2.23
Mg: 0.2521 0.0000 0.5000  6 O 2.13-2.24
Ti: 0.0000 0.0000 0.0000  6 O 2.10-2.13
O: 0.0000 0.5000 0.0000  2 Ti 2.13, 4 Mg 2.13-2.24
O: 0.0000 0.0000 0.5000  4 Mg 2.13-2.24, 2 Ti 2.13
O: 0.7644 0.0000 0.0000  1 Ti 2.10, 4 Mg 2.13
Mg: 0.0000 0.5000 0.5000  6 O 2.13-2.22
O: 0.2492 0.5000 0.5000  6 Mg 2.13-2.23

As for the corrected total energy (MP2020 scheme): -110.71 eV/cell. The energy relative to the elements is -2.748 eV per atom.

***

Record 4
Material: Mg6TiCrO8
Method: DFT, PBE with a Hubbard U
State: optimized geometry

a b c (Å): 8.8350 4.2523 4.2523
angles (deg): 90.00 90.00 90.00
Last column: nearest neighbours and their distance in Å.
Fractional positions:
Mg: 0.2564 0.0000 0.5000  6 O 2.13-2.27
Mg: 0.7436 0.5000 0.0000  6 O 2.13-2.27
Cr: 0.0000 0.5000 0.5000  6 O 2.13-2.34
Mg: 0.5000 0.0000 0.0000  6 O 2.13-2.18
Mg: 0.7436 0.0000 0.5000  6 O 2.13-2.27
O: 0.7465 0.0000 0.0000  5 Mg 2.13-2.18, 1 Ti 2.24
Mg: 0.2564 0.5000 0.0000  6 O 2.13-2.27
Ti: 0.0000 0.0000 0.0000  6 O 2.13-2.24
O: 0.0000 0.0000 0.5000  2 Cr 2.13, 2 Ti 2.13, 2 Mg 2.27
O: 0.2646 0.5000 0.5000  5 Mg 2.08-2.13
O: 0.5000 0.5000 0.0000  6 Mg 2.13-2.15
O: 0.7354 0.5000 0.5000  5 Mg 2.08-2.13
Mg: 0.5000 0.5000 0.5000  6 O 2.08-2.13
O: 0.5000 0.0000 0.5000  6 Mg 2.13-2.15
O: 0.0000 0.5000 0.0000  2 Cr 2.13, 2 Ti 2.13, 2 Mg 2.27
O: 0.2535 0.0000 0.0000  5 Mg 2.13-2.18, 1 Ti 2.24

As for the corrected total energy (MP2020 scheme): -110.98 eV/cell. The energy relative to the elements is -2.766 eV per atom.

***

Record 5
Material: MgTiCrO4
Method: DFT, PBE with a Hubbard U
State: optimized geometry

a b c (Å): 5.2096 5.2096 5.2096
angles (deg): 133.04 132.50 69.02
Last column: nearest neighbours and their distance in Å.
Fractional positions:
O: 0.2348 0.2348 0.0000  2 Ti 2.10, 1 Cr 2.10, 1 Mg 2.14
Mg: 0.4846 0.4846 0.0000  6 O 2.09-2.22
Cr: 0.9902 0.9902 0.0000  6 O 2.09-2.12
O: 0.5108 0.0108 0.5000  1 Ti 1.95, 2 Mg 2.09, 2 Cr 2.11
O: 0.7430 0.7430 0.0000  2 Ti 2.08, 1 Cr 2.12, 1 Mg 2.22
Ti: 0.7377 0.2377 0.5000  6 O 1.95-2.10
O: 0.9656 0.4656 0.5000  1 Ti 1.96, 2 Cr 2.09, 2 Mg 2.10

As for the corrected total energy (MP2020 scheme): -58.33 eV/cell. The energy relative to the elements is -2.769 eV per atom.

***

Record 6
Material: Tm2MgCr2O8
Method: DFT, PBE with a Hubbard U
State: optimized geometry

a b c (Å): 6.1490 6.1376 6.0061
angles (deg): 105.74 105.83 117.90
Last column: nearest neighbours and their distance in Å.
Fractional positions:
O: 0.1829 0.2564 0.5736  1 Cr 1.79
O: 0.8019 0.3842 0.0331  1 Cr 1.77
O: 0.6336 0.2245 0.4484  1 Cr 1.87, 1 Mg 1.99
O: 0.1904 0.6363 0.9384  1 Cr 1.81, 1 Mg 1.96
O: 0.8148 0.7238 0.4484  1 Cr 1.87, 1 Mg 1.99
Mg: 0.8664 0.6164 0.7330  4 O 1.96-1.99
Cr: 0.5992 0.3492 0.1984  4 O 1.77-1.87
O: 0.2313 0.1489 0.0332  1 Cr 1.77
Tm: 0.8739 0.1239 0.7479  8 O 2.30-2.47
O: 0.3907 0.8172 0.5736  1 Cr 1.79
Tm: 0.1545 0.9046 0.3091  4 O 2.20-2.36
O: 0.7480 0.8021 0.9384  1 Cr 1.81, 1 Mg 1.96
Cr: 0.3769 0.6269 0.7539  4 O 1.79-1.81

As for the corrected total energy (MP2020 scheme): -106.48 eV/cell. The energy relative to the elements is -2.849 eV per atom.

***

Record 7
Material: Tm2MgCr2O8
Method: DFT, PBE with a Hubbard U
State: optimized geometry

a b c (Å): 5.8838 6.2150 6.2152
angles (deg): 110.83 103.95 116.10
Last column: nearest neighbours and their distance in Å.
Fractional positions:
Mg: 0.0002 0.2577 0.2575  4 O 1.96-2.04
O: 0.2104 0.2649 0.5608  1 Cr 1.88, 1 Mg 1.96
Tm: 0.1362 0.8355 0.2671  7 O 2.23-2.42
O: 0.1613 0.6138 0.9117  1 Cr 1.77
Cr: 0.4104 0.6552 0.7895  4 O 1.76-1.88
O: 0.7896 0.3503 0.0543  1 Cr 1.88, 1 Mg 1.96
O: 0.3726 0.7540 0.5424  1 Cr 1.85
Tm: 0.8638 0.1309 0.6992  7 O 2.23-2.42
O: 0.2277 0.2371 0.0586  1 Cr 1.76
Cr: 0.5896 0.3788 0.2445  4 O 1.76-1.88
O: 0.7723 0.8309 0.0095  1 Cr 1.76
O: 0.6273 0.1698 0.3814  1 Cr 1.85
O: 0.8387 0.7504 0.4525  1 Cr 1.77

As for the corrected total energy (MP2020 scheme): -106.63 eV/cell. The energy relative to the elements is -2.861 eV per atom.

***

Record 8
Material: MgVCrO4
Method: DFT, PBE with a Hubbard U
State: optimized geometry

a b c (Å): 6.0365 6.0348 6.0293
angles (deg): 90.24 120.04 59.74
Last column: nearest neighbours and their distance in Å.
Fractional positions:
V: 0.9999 0.0000 0.5000  6 O 2.04-2.08
V: 0.5000 0.5000 0.5000  6 O 2.05-2.07
O: 0.4813 0.7385 0.7434  1 Mg 1.99, 1 Cr 2.04, 2 V 2.05-2.06
O: 0.0223 0.7351 0.7421  1 Mg 2.00, 2 Cr 2.03-2.04, 1 V 2.08
O: 0.5226 0.7194 0.2591  1 Mg 2.00, 2 Cr 2.04, 1 V 2.07
Cr: 0.0000 0.5000 0.5000  6 O 2.03-2.05
O: 0.4775 0.2806 0.7410  1 Mg 2.00, 2 Cr 2.04, 1 V 2.07
Mg: 0.2502 0.1261 0.1243  4 O 1.99-2.00
O: 0.5187 0.2615 0.2566  1 Mg 1.99, 1 Cr 2.04, 2 V 2.05
O: 0.9778 0.2649 0.2579  1 Mg 2.00, 2 Cr 2.03-2.04, 1 V 2.08
Cr: 0.4999 0.5001 0.0000  6 O 2.04
O: 0.0195 0.7393 0.2813  1 Mg 2.00, 2 V 2.04-2.05, 1 Cr 2.05
O: 0.9805 0.2606 0.7187  1 Mg 2.00, 2 V 2.04-2.05, 1 Cr 2.04
Mg: 0.7498 0.8739 0.8757  4 O 1.99-2.00

As for the corrected total energy (MP2020 scheme): -117.74 eV/cell. The energy relative to the elements is -2.677 eV per atom.

***

no.,ρ (g/cm³)
1,4.792
2,4.222
3,3.853
4,3.884
5,4.178
6,5.797
7,5.872
8,4.099